No. 1
The following is a PBE calculation of a geometry-optimized FeAsRh structure, from the Materials Project.

abc: 2.855 7.468 7.468
angles: 124.39 90.00 90.00
Fractional positions:
Fe1 0.000 0.000 0.000
Fe2 0.000 0.332 0.665
Fe3 0.000 0.665 0.332
As1 0.500 0.019 0.350
As2 0.500 0.350 0.019
As3 0.500 0.689 0.689
Rh1 0.500 0.007 0.671
Rh2 0.500 0.344 0.344
Rh3 0.500 0.671 0.007

uncorrected energy	-6.91	eV per atom
SG	Amm2

***

No. 2
The following is a PBE calculation of a geometry-optimized Fe2AsS3 structure, from the Materials Project.

abc: 4.674 3.320 5.567
angles: 90.00 92.42 90.00
Fractional positions:
Fe1 0.000 0.000 0.000
Fe2 0.481 0.500 0.515
As1 0.685 0.500 0.143
S1 0.198 0.000 0.376
S2 0.294 0.500 0.874
S3 0.778 0.000 0.638

E (MP2020)	-6.344	eV/atom
uncorrected energy	-6.09	eV per atom
SG	Pm

***

No. 3
The following is a PBE calculation of a geometry-optimized FeAsS structure, from the Materials Project.

abc: 5.740 5.672 5.763
angles: 90.00 112.08 90.00
Fractional positions:
Fe1 0.212 0.009 0.203
Fe2 0.212 0.491 0.703
Fe3 0.788 0.509 0.297
Fe4 0.788 0.991 0.797
As1 0.354 0.632 0.129
As2 0.354 0.868 0.629
As3 0.646 0.132 0.371
As4 0.646 0.368 0.871
S1 0.152 0.133 0.823
S2 0.152 0.367 0.323
S3 0.848 0.633 0.677
S4 0.848 0.867 0.177

E (MP2020)	-6.373	eV/atom
uncorrected energy	-6.21	eV per atom
SG	P2_1/c

***

No. 4
The following is a PBE calculation of a geometry-optimized FeSbAs structure, from the Materials Project.

abc: 3.051 5.563 6.267
angles: 90.00 90.00 90.00
Fractional positions:
Fe1 0.000 0.227 0.000
Fe2 0.500 0.773 0.500
Sb1 0.000 0.429 0.365
Sb2 0.500 0.571 0.865
As1 0.000 0.058 0.651
As2 0.500 0.942 0.151

piezoelectric modulus e_max	0.4	C/m²
uncorrected energy	-5.87	eV per atom
SG	Pmn2_1

***

No. 5
The following is a PBE calculation of a geometry-optimized Fe5SiAs structure, from the Materials Project.

abc: 6.840 6.840 12.466
angles: 90.22 90.22 120.03
Fractional positions:
Fe1 0.000 0.000 0.000
Fe2 0.004 0.689 0.504
Fe3 0.016 0.348 0.766
Fe4 0.017 0.352 0.277
Fe5 0.040 0.040 0.595
Fe6 0.047 0.686 0.086
Fe7 0.050 0.683 0.887
Fe8 0.057 0.057 0.394
Fe9 0.313 0.313 0.888
Fe10 0.316 0.686 0.393
Fe11 0.323 0.323 0.086
Fe12 0.329 0.697 0.594
Fe13 0.348 0.016 0.766
Fe14 0.352 0.017 0.277
Fe15 0.368 0.685 0.000
Fe16 0.370 0.370 0.502
Fe17 0.395 0.689 0.794
Fe18 0.405 0.405 0.296
Fe19 0.683 0.050 0.887
Fe20 0.685 0.368 0.000
Fe21 0.685 0.685 0.126
Fe22 0.686 0.047 0.086
Fe23 0.686 0.316 0.393
Fe24 0.686 0.964 0.297
Fe25 0.688 0.688 0.630
Fe26 0.689 0.004 0.504
Fe27 0.689 0.395 0.794
Fe28 0.697 0.329 0.594
Fe29 0.958 0.958 0.794
Fe30 0.964 0.686 0.297
Si1 0.017 0.351 0.965
Si2 0.018 0.683 0.693
Si3 0.020 0.354 0.474
Si4 0.351 0.017 0.965
Si5 0.354 0.020 0.474
Si6 0.683 0.018 0.693
As1 0.020 0.020 0.194
As2 0.350 0.684 0.193
As3 0.354 0.354 0.692
As4 0.682 0.682 0.926
As5 0.684 0.350 0.193
As6 0.685 0.685 0.431

uncorrected energy	-7.65	eV per atom
SG	Cm

***

No. 6
The following is a PBE calculation of a geometry-optimized TaFeAs structure, from the Materials Project.

abc: 6.304 3.766 7.111
angles: 90.00 90.00 90.00
Fractional positions:
Ta1 0.022 0.250 0.180
Ta2 0.478 0.750 0.680
Ta3 0.522 0.250 0.320
Ta4 0.978 0.750 0.820
Fe1 0.141 0.250 0.562
Fe2 0.359 0.750 0.062
Fe3 0.641 0.250 0.938
Fe4 0.859 0.750 0.438
As1 0.228 0.750 0.380
As2 0.272 0.250 0.880
As3 0.728 0.750 0.120
As4 0.772 0.250 0.620

uncorrected energy	-8.72	eV per atom
SG	Pnma

***

No. 7
The following is a PBE calculation of a geometry-optimized TiFe2As structure, from the Materials Project.

abc: 5.792 5.792 5.792
angles: 90.00 90.00 90.00
Fractional positions:
Ti1 0.000 0.000 0.000
Ti2 0.000 0.500 0.500
Ti3 0.500 0.000 0.500
Ti4 0.500 0.500 0.000
Fe1 0.250 0.250 0.250
Fe2 0.250 0.250 0.750
Fe3 0.250 0.750 0.250
Fe4 0.250 0.750 0.750
Fe5 0.750 0.250 0.250
Fe6 0.750 0.250 0.750
Fe7 0.750 0.750 0.250
Fe8 0.750 0.750 0.750
As1 0.000 0.000 0.500
As2 0.000 0.500 0.000
As3 0.500 0.000 0.000
As4 0.500 0.500 0.500

uncorrected energy	-7.71	eV per atom
SG	Fm-3m

***

No. 8
The following is a PBE calculation of a geometry-optimized UFeAs2 structure, from the Materials Project.

abc: 3.980 3.980 8.823
angles: 90.00 90.00 90.00
Fractional positions:
U1 0.250 0.250 0.244
U2 0.750 0.750 0.756
Fe1 0.250 0.750 0.000
Fe2 0.750 0.250 0.000
As1 0.250 0.250 0.846
As2 0.250 0.750 0.500
As3 0.750 0.250 0.500
As4 0.750 0.750 0.154

uncorrected energy	-7.79	eV per atom
SG	P4/nmm

***

No. 9
The following is a PBE calculation of a geometry-optimized GaAs3 structure, from the Materials Project.

abc: 6.713 6.713 6.713
angles: 90.00 90.00 90.00
Fractional positions:
Ga1 0.000 0.000 0.000
Ga2 0.000 0.500 0.500
Ga3 0.500 0.000 0.500
Ga4 0.500 0.500 0.000
As1 0.000 0.000 0.500
As2 0.000 0.500 0.000
As3 0.250 0.250 0.250
As4 0.250 0.250 0.750
As5 0.250 0.750 0.250
As6 0.250 0.750 0.750
As7 0.500 0.000 0.000
As8 0.500 0.500 0.500
As9 0.750 0.250 0.250
As10 0.750 0.250 0.750
As11 0.750 0.750 0.250
As12 0.750 0.750 0.750

uncorrected energy	-3.92	eV per atom
SG	Fm-3m

***

No. 10
The following is a PBE calculation of a geometry-optimized GaAs structure, from the Materials Project.

abc: 12.842 12.963 14.580
angles: 87.38 85.68 85.35
Fractional positions:
Ga1 0.000 0.000 0.000
Ga2 0.001 0.313 0.872
Ga3 0.055 0.840 0.254
Ga4 0.068 0.668 0.735
Ga5 0.086 0.199 0.699
Ga6 0.107 0.902 0.761
Ga7 0.118 0.492 0.642
Ga8 0.129 0.635 0.207
Ga9 0.148 0.095 0.073
Ga10 0.162 0.891 0.582
Ga11 0.173 0.219 0.917
Ga12 0.187 0.181 0.437
Ga13 0.220 0.939 0.188
Ga14 0.259 0.722 0.746
Ga15 0.261 0.026 0.898
Ga16 0.261 0.747 0.286
Ga17 0.283 0.026 0.629
Ga18 0.284 0.662 0.452
Ga19 0.327 0.428 0.653
Ga20 0.333 0.594 0.148
Ga21 0.371 0.374 0.852
Ga22 0.375 0.040 0.468
Ga23 0.412 0.157 0.254
Ga24 0.473 0.191 0.572
Ga25 0.489 0.869 0.566
Ga26 0.496 0.248 0.385
Ga27 0.551 0.184 0.735
Ga28 0.577 0.723 0.466
Ga29 0.586 0.031 0.474
Ga30 0.599 0.528 0.462
Ga31 0.616 0.535 0.987
Ga32 0.622 0.261 0.079
Ga33 0.634 0.793 0.669
Ga34 0.663 0.931 0.333
Ga35 0.714 0.257 0.560
Ga36 0.727 0.529 0.214
Ga37 0.730 0.409 0.082
Ga38 0.779 0.485 0.746
Ga39 0.798 0.992 0.033
Ga40 0.827 0.104 0.358
Ga41 0.837 0.090 0.788
Ga42 0.846 0.898 0.838
Ga43 0.847 0.297 0.227
Ga44 0.872 0.221 0.651
Ga45 0.892 0.498 0.506
Ga46 0.899 0.717 0.292
Ga47 0.912 0.986 0.484
Ga48 0.970 0.302 0.468
Ga49 0.990 0.611 0.086
Ga50 0.990 0.629 0.907
As1 0.009 0.826 0.908
As2 0.011 0.404 0.112
As3 0.016 0.179 0.333
As4 0.026 0.118 0.558
As5 0.028 0.581 0.364
As6 0.032 0.079 0.829
As7 0.077 0.878 0.428
As8 0.078 0.694 0.486
As9 0.107 0.243 0.190
As10 0.141 0.415 0.482
As11 0.190 0.382 0.018
As12 0.201 0.493 0.875
As13 0.261 0.307 0.261
As14 0.271 0.226 0.646
As15 0.306 0.478 0.398
As16 0.315 0.910 0.769
As17 0.320 0.633 0.896
As18 0.331 0.761 0.583
As19 0.335 0.402 0.118
As20 0.345 0.197 0.798
As21 0.351 0.130 0.088
As22 0.358 0.979 0.309
As23 0.372 0.955 0.029
As24 0.450 0.404 0.494
As25 0.452 0.260 0.993
As26 0.463 0.722 0.321
As27 0.487 0.523 0.857
As28 0.498 0.668 0.078
As29 0.518 0.884 0.237
As30 0.521 0.515 0.685
As31 0.526 0.572 0.227
As32 0.529 0.940 0.911
As33 0.571 0.124 0.899
As34 0.585 0.096 0.160
As35 0.641 0.355 0.705
As36 0.669 0.074 0.620
As37 0.671 0.846 0.995
As38 0.686 0.600 0.624
As39 0.695 0.268 0.390
As40 0.717 0.765 0.838
As41 0.746 0.157 0.942
As42 0.761 0.038 0.212
As43 0.761 0.781 0.414
As44 0.762 0.447 0.374
As45 0.787 0.589 0.889
As46 0.809 0.842 0.567
As47 0.815 0.685 0.153
As48 0.895 0.304 0.024
As49 0.930 0.683 0.608
As50 0.959 0.381 0.713

uncorrected energy	-3.79	eV per atom
SG	P1

***

No. 11
The following is a PBE calculation of a geometry-optimized GaAs structure, from the Materials Project.

abc: 12.710 13.528 13.766
angles: 92.31 96.82 92.15
Fractional positions:
Ga1 0.000 0.000 0.000
Ga2 0.002 0.505 0.540
Ga3 0.031 0.060 0.587
Ga4 0.098 0.560 0.808
Ga5 0.157 0.088 0.131
Ga6 0.161 0.721 0.226
Ga7 0.178 0.974 0.283
Ga8 0.180 0.376 0.966
Ga9 0.260 0.983 0.006
Ga10 0.271 0.237 0.430
Ga11 0.320 0.445 0.249
Ga12 0.337 0.830 0.822
Ga13 0.349 0.860 0.222
Ga14 0.381 0.359 0.000
Ga15 0.394 0.428 0.824
Ga16 0.397 0.229 0.298
Ga17 0.413 0.662 0.414
Ga18 0.434 0.014 0.715
Ga19 0.487 0.843 0.454
Ga20 0.507 0.603 0.000
Ga21 0.511 0.484 0.399
Ga22 0.515 0.082 0.278
Ga23 0.541 0.180 0.571
Ga24 0.557 0.597 0.249
Ga25 0.586 0.142 0.770
Ga26 0.593 0.974 0.577
Ga27 0.610 0.855 0.101
Ga28 0.614 0.851 0.814
Ga29 0.618 0.589 0.813
Ga30 0.651 0.407 0.974
Ga31 0.696 0.693 0.145
Ga32 0.735 0.265 0.058
Ga33 0.753 0.338 0.743
Ga34 0.759 0.048 0.186
Ga35 0.763 0.370 0.452
Ga36 0.791 0.664 0.342
Ga37 0.807 0.959 0.340
Ga38 0.810 0.519 0.169
Ga39 0.838 0.974 0.850
Ga40 0.849 0.066 0.634
Ga41 0.858 0.389 0.303
Ga42 0.868 0.571 0.690
Ga43 0.877 0.782 0.544
Ga44 0.882 0.351 0.939
Ga45 0.904 0.595 0.896
Ga46 0.910 0.743 0.209
Ga47 0.913 0.171 0.002
Ga48 0.956 0.404 0.770
Ga49 0.963 0.821 0.055
Ga50 0.991 0.617 0.393
As1 0.016 0.569 0.172
As2 0.020 0.690 0.653
As3 0.025 0.895 0.492
As4 0.031 0.487 0.003
As5 0.033 0.834 0.786
As6 0.047 0.240 0.186
As7 0.051 0.452 0.307
As8 0.100 0.151 0.342
As9 0.101 0.273 0.811
As10 0.160 0.814 0.045
As11 0.172 0.736 0.876
As12 0.199 0.124 0.688
As13 0.200 0.557 0.584
As14 0.200 0.673 0.438
As15 0.206 0.829 0.547
As16 0.207 0.408 0.739
As17 0.274 0.252 0.137
As18 0.277 0.384 0.562
As19 0.283 0.020 0.822
As20 0.302 0.942 0.439
As21 0.329 0.096 0.553
As22 0.352 0.653 0.221
As23 0.356 0.705 0.048
As24 0.391 0.175 0.021
As25 0.428 0.612 0.825
As26 0.430 0.870 0.002
As27 0.443 0.829 0.674
As28 0.472 0.370 0.541
As29 0.530 0.447 0.105
As30 0.553 0.340 0.273
As31 0.554 0.903 0.277
As32 0.559 0.326 0.810
As33 0.569 0.174 0.126
As34 0.594 0.634 0.570
As35 0.614 0.466 0.660
As36 0.639 0.110 0.964
As37 0.642 0.210 0.417
As38 0.717 0.819 0.414
As39 0.721 0.551 0.471
As40 0.726 0.703 0.711
As41 0.735 0.584 0.984
As42 0.742 0.964 0.017
As43 0.757 0.901 0.675
As44 0.791 0.155 0.775
As45 0.801 0.106 0.457
As46 0.853 0.219 0.206
As47 0.886 0.781 0.879
As48 0.916 0.346 0.586
As49 0.977 0.202 0.472
As50 0.995 0.898 0.312

uncorrected energy	-3.77	eV per atom
SG	P1

***

No. 12
The following is a PBE calculation of a geometry-optimized GaAs structure, from the Materials Project.

abc: 5.750 5.750 5.750
angles: 90.00 90.00 90.00
Fractional positions:
Ga1 0.000 0.000 0.000
Ga2 0.000 0.500 0.500
Ga3 0.500 0.000 0.500
Ga4 0.500 0.500 0.000
As1 0.250 0.250 0.250
As2 0.250 0.750 0.750
As3 0.750 0.250 0.750
As4 0.750 0.750 0.250

piezoelectric modulus e_max	0.3	C/m²
uncorrected energy	-4.20	eV per atom
SG	F-43m

***

No. 13
The following is a PBE calculation of a geometry-optimized GaAs structure, from the Materials Project.

abc: 2.675 5.269 2.822
angles: 90.00 90.00 90.00
Fractional positions:
Ga1 0.000 0.000 0.000
As1 0.000 0.500 0.351

uncorrected energy	-3.75	eV per atom
SG	Pmm2